(1)
First-principles (GGA+U) data for an optimized crystal structure of Sr4CaYFeCu4PbO14, as listed in Materials Project.

Geometry as extended XYZ:
```
26
Lattice="-2.695 2.695 12.073 2.695 -2.695 12.073 2.695 2.695 -12.073" Properties=species:S:1:pos:R:3 pbc="T T T"
Sr 0.000 0.000 3.477
Sr 0.000 0.000 8.565
Sr 0.000 0.000 15.582
Sr 0.000 0.000 20.670
Ca 0.000 0.000 0.000
Y 0.000 0.000 12.073
Fe 0.000 2.695 6.037
Cu 2.695 0.000 1.719
Cu 2.695 0.000 10.354
Cu 0.000 2.695 1.649
Cu 0.000 2.695 10.424
Pb 2.695 0.000 6.037
O 2.695 0.000 3.882
O 1.378 1.365 -1.529
O 4.013 1.365 -1.529
O 0.000 0.000 6.023
O 1.365 1.378 1.529
O 1.330 -1.317 13.602
O 2.695 0.000 8.192
O 0.000 2.695 4.195
O -1.317 1.330 10.544
O 1.317 1.330 10.544
O 0.000 0.000 18.124
O 1.365 4.013 1.529
O 1.330 1.317 13.602
O 0.000 2.695 7.879
```

Calculated values
As for the formation energy: -2.1758 eV per atom. The crystal system is tetragonal.

***

(2)
First-principles (GGA+U) data for an optimized crystal structure of Ca2FeCuSO3, as listed in Materials Project.

Geometry as extended XYZ:
```
16
Lattice="2.740 -2.741 0.000 2.740 2.741 0.000 -0.006 0.000 14.907" Properties=species:S:1:pos:R:3 pbc="T T T"
Ca 1.370 0.000 1.284
Ca 1.368 0.000 4.648
Ca 4.107 0.000 10.259
Ca 4.104 0.000 13.623
Fe 1.365 0.000 12.045
Fe 4.109 0.000 2.863
Cu 2.737 1.375 7.454
Cu 2.737 -1.375 7.454
S 1.369 0.000 8.891
S 4.106 0.000 6.016
O 1.364 0.000 13.961
O 2.739 1.370 3.191
O 2.736 1.370 11.716
O 2.739 -1.370 3.191
O 2.736 -1.370 11.716
O 4.110 0.000 0.946
```

Calculated values
As for the formation energy: -2.1176 eV per atom. The crystal system is monoclinic.

***

(3)
First-principles (GGA+U) data for an optimized crystal structure of Ca3La5Mn6Cu2O24, as listed in Materials Project.

Geometry as extended XYZ:
```
40
Lattice="5.469 0.000 0.000 0.002 5.476 0.000 0.007 0.005 15.678" Properties=species:S:1:pos:R:3 pbc="T T T"
Ca 0.000 0.000 0.000
Ca 0.369 0.110 11.909
Ca 3.118 2.738 11.870
La 0.052 0.008 7.937
La 0.303 0.097 4.039
La 2.779 2.815 0.005
La 2.786 2.831 7.942
La 3.041 2.749 4.068
Mn 0.175 2.803 1.966
Mn 0.187 2.796 13.760
Mn 0.195 2.775 10.006
Mn 2.907 0.041 1.970
Mn 2.921 0.056 13.757
Mn 2.926 0.066 10.006
Cu 0.183 2.787 5.986
Cu 2.916 0.049 5.987
O 0.080 3.252 11.887
O 0.143 3.171 3.867
O 0.230 2.409 8.098
O 0.234 2.355 0.035
O 1.398 4.306 1.644
O 1.400 4.320 14.143
O 1.420 4.295 9.602
O 1.431 4.274 6.243
O 1.665 1.533 5.705
O 1.686 1.566 2.326
O 1.727 1.593 10.288
O 1.744 1.622 13.492
O 2.804 5.073 11.890
O 2.867 5.154 3.868
O 2.965 0.430 8.096
O 3.003 0.428 0.033
O 4.143 4.017 14.106
O 4.141 4.022 1.680
O 4.151 4.018 9.608
O 4.163 4.035 6.246
O 4.395 1.311 2.340
O 4.405 1.299 5.704
O 4.448 1.268 13.484
O 4.463 1.246 10.293
```

Calculated values
As for the formation energy: -2.6887 eV per atom. The crystal system is triclinic.

***

(4)
First-principles (GGA+U) data for an optimized crystal structure of Ca3MnCuO6, as listed in Materials Project.

Geometry as extended XYZ:
```
44
Lattice="6.424 0.000 0.000 0.000 9.232 0.000 -5.954 0.000 8.973" Properties=species:S:1:pos:R:3 pbc="T T T"
Ca -0.559 0.615 2.856
Ca -3.536 4.001 7.343
Ca 1.570 1.058 0.023
Ca -1.407 3.558 4.510
Ca -2.242 0.645 6.025
Ca 0.735 3.971 1.538
Ca -0.265 5.261 7.435
Ca 2.712 8.587 2.949
Ca 1.877 5.674 4.463
Ca -1.100 8.174 8.950
Ca 4.006 5.231 1.630
Ca 1.029 8.617 6.117
Mn 0.041 6.902 2.214
Mn -2.936 6.946 6.700
Mn 3.406 2.286 2.273
Mn 0.429 2.330 6.760
Cu -1.001 6.683 4.758
Cu 1.976 7.165 0.271
Cu -1.506 2.067 8.702
Cu 1.471 2.549 4.215
O -0.384 5.910 0.640
O -3.361 7.938 5.127
O -4.224 1.655 6.720
O -1.247 2.961 2.233
O -2.315 5.434 5.639
O 0.662 8.414 1.152
O -0.427 5.408 3.351
O -3.404 8.440 7.837
O -2.536 6.031 8.402
O 0.441 7.817 3.916
O 1.534 1.665 2.411
O -1.443 2.951 6.898
O 1.913 6.281 2.075
O -1.064 7.567 6.562
O 0.028 1.415 5.058
O 3.005 3.201 0.571
O 3.874 0.792 1.136
O 0.897 3.824 5.623
O -0.192 0.818 7.821
O 2.785 3.798 3.334
O 1.716 6.271 6.740
O 4.693 7.577 2.254
O 3.831 1.294 3.847
O 0.854 3.322 8.333
```

Calculated values
As for the formation energy: -2.5220 eV per atom. The crystal system is monoclinic.

***

(5)
First-principles (GGA+U) data for an optimized crystal structure of CaMnCu3Ru3O12, as listed in Materials Project.

Geometry as extended XYZ:
```
20
Lattice="5.303 3.061 2.179 -5.303 3.061 2.179 0.000 -6.123 2.179" Properties=species:S:1:pos:R:3 pbc="T T T"
Ca 0.000 0.000 0.000
Mn 0.000 0.000 3.268
Cu -2.651 -1.531 2.179
Cu -2.651 1.531 4.358
Cu 0.000 3.061 2.179
Ru -5.303 0.000 3.268
Ru -2.651 1.531 1.089
Ru 2.651 1.531 1.089
O -3.667 1.078 2.778
O -0.732 -1.526 2.034
O -2.767 -2.637 3.758
O -0.955 1.397 2.034
O 0.900 -3.714 2.778
O 1.688 0.129 2.034
O -1.688 -0.129 4.503
O -0.900 3.714 3.758
O 0.955 -1.397 4.503
O 2.767 2.637 2.778
O 0.732 1.526 4.503
O 3.667 -1.078 3.758
```

Calculated values
As for the formation energy: -1.5330 eV per atom. The crystal system is trigonal.

***

(6)
First-principles (GGA+U) data for an optimized crystal structure of CaMn2Cu3Ru2O12, as listed in Materials Project.

Geometry as extended XYZ:
```
20
Lattice="5.308 -3.705 0.000 5.308 3.705 0.000 -5.298 0.000 5.340" Properties=species:S:1:pos:R:3 pbc="T T T"
Ca 0.000 0.000 0.000
Mn 0.005 1.853 2.670
Mn 0.005 -1.853 2.670
Cu -2.649 0.000 2.670
Cu 5.308 0.000 0.000
Cu 2.659 0.000 2.670
Ru 2.654 1.853 0.000
Ru 2.654 -1.853 0.000
O 1.681 1.262 1.609
O -0.722 0.000 2.562
O -2.753 0.000 4.604
O 4.379 1.422 0.873
O 0.938 1.422 4.467
O 1.681 -1.262 1.609
O 3.636 1.262 3.731
O 4.379 -1.422 0.873
O 0.938 -1.422 4.467
O 8.071 0.000 0.736
O 6.039 0.000 2.779
O 3.636 -1.262 3.731
```

Calculated values
As for the formation energy: -1.6214 eV per atom. The crystal system is monoclinic.

***

(7)
First-principles (GGA+U) data for an optimized crystal structure of CaCu3Mo4O12, as listed in Materials Project.

Geometry as extended XYZ:
```
20
Lattice="6.644 0.000 0.000 -2.204 6.272 0.000 -2.207 -3.115 5.443" Properties=species:S:1:pos:R:3 pbc="T T T"
Ca 0.000 0.000 0.000
Cu -2.206 1.578 2.721
Cu 2.218 -1.558 2.721
Cu 2.220 3.136 0.000
Mo -1.104 -1.558 2.721
Mo -1.102 3.136 0.000
Mo 3.322 0.000 0.000
Mo 1.116 1.578 2.721
O -1.634 4.268 1.683
O -2.325 1.626 4.715
O -0.585 0.428 2.581
O 0.599 2.446 0.931
O -0.078 -1.760 4.540
O 2.109 0.122 1.658
O 0.124 3.034 3.785
O 2.311 4.916 0.903
O 1.634 0.711 4.512
O 2.818 2.728 2.862
O 4.558 1.531 0.728
O 3.867 -1.112 3.760
```

Calculated values
As for the formation energy: -1.8330 eV per atom. The crystal system is triclinic.

***

(8)
First-principles (GGA+U) data for an optimized crystal structure of CaCuMo2O7, as listed in Materials Project.

Geometry as extended XYZ:
```
66
Lattice="10.647 0.000 0.000 0.000 9.110 0.000 -0.903 0.000 10.926" Properties=species:S:1:pos:R:3 pbc="T T T"
Ca -0.226 0.631 2.731
Ca -0.677 8.479 8.194
Ca 2.569 3.963 10.107
Ca 3.021 5.147 4.644
Ca 6.723 3.963 6.282
Ca 7.175 5.147 0.819
Cu -0.226 4.055 2.731
Cu -0.677 5.055 8.194
Cu 2.317 0.585 9.959
Cu 2.768 8.525 4.496
Cu 6.976 0.585 6.430
Cu 7.427 8.525 0.967
Mo -0.342 2.627 5.866
Mo 0.110 6.483 0.403
Mo 3.312 1.896 2.291
Mo 2.861 7.214 7.754
Mo 3.085 2.359 6.749
Mo 3.536 6.751 1.286
Mo 6.208 2.359 9.639
Mo 6.660 6.751 4.176
Mo 6.883 1.896 3.172
Mo 6.432 7.214 8.635
Mo 9.635 2.627 10.523
Mo 10.086 6.483 5.060
O -0.430 1.063 6.692
O 0.022 8.047 1.229
O 0.162 2.585 1.414
O -0.290 6.525 6.877
O 0.088 3.865 9.649
O 0.539 5.245 4.186
O 1.540 3.198 6.102
O 1.991 5.912 0.639
O 2.163 0.658 3.116
O 1.712 8.452 8.579
O 3.176 1.983 0.428
O 2.725 7.127 5.891
O 3.075 3.479 3.107
O 2.624 5.631 8.570
O 2.932 2.157 8.535
O 3.383 6.953 3.072
O 3.325 0.799 5.946
O 3.776 8.311 0.483
O 4.318 3.551 6.234
O 4.769 5.559 0.771
O 5.098 1.362 2.731
O 4.646 7.748 8.194
O 4.975 3.551 10.155
O 5.426 5.559 4.692
O 5.968 0.799 10.443
O 6.419 8.311 4.980
O 6.361 2.157 7.854
O 6.812 6.953 2.391
O 7.120 3.479 2.355
O 6.669 5.631 7.818
O 7.019 1.983 5.035
O 6.568 7.127 10.498
O 8.032 0.658 2.347
O 7.581 8.452 7.810
O 7.753 3.198 10.287
O 8.205 5.912 4.824
O 9.205 3.865 6.740
O 9.657 5.245 1.277
O 10.034 2.585 4.049
O 9.583 6.525 9.512
O 9.722 1.063 9.697
O 10.174 8.047 4.234
```

Calculated values
As for the formation energy: -2.0148 eV per atom. The crystal system is monoclinic.

***

| no. | total magnetization (μB per formula unit) |
| --- | --- |
| 1 | 4.89 |
| 2 | 0.00 |
| 3 | 19.65 |
| 4 | 4.00 |
| 5 | 7.01 |
| 6 | 5.05 |
| 7 | 5.00 |
| 8 | 1.00 |